1.
A plane-wave DFT calculation with PBE was carried out for a relaxed NaZnBP2O9 crystal.

E (MP2020)   -577.43 eV per cell
Magnetic moment   12.00 μB per cell

abc: 9.662 9.662 14.900
angles: 90.00 90.00 120.00
Element x y z (fractional)
O1 0.370 0.072 0.132
O2 0.815 0.565 0.659
O3 0.764 0.764 0.000
O4 0.630 0.702 0.201
O5 0.370 0.298 0.701
O6 0.236 0.236 0.500
O7 0.565 0.750 0.492
O8 0.225 0.219 0.107
O9 0.377 0.527 0.860
O10 0.850 0.473 0.807
O11 0.377 0.850 0.974
O12 0.000 0.764 0.167
O13 0.185 0.750 0.674
O14 0.150 0.623 0.526
O15 0.185 0.435 0.159
O16 0.000 0.236 0.667
O17 0.527 0.377 0.140
O18 0.994 0.775 0.774
O19 0.298 0.928 0.535
O20 0.630 0.928 0.632
O21 0.225 0.006 0.726
O22 0.623 0.150 0.474
O23 0.781 0.006 0.441
O24 0.072 0.370 0.868
O25 0.702 0.072 0.035
O26 0.006 0.225 0.274
O27 0.815 0.250 0.174
O28 0.750 0.185 0.326
O29 0.250 0.435 0.008
O30 0.775 0.994 0.226
O31 0.473 0.623 0.640
O32 0.565 0.815 0.341
O33 0.236 0.000 0.333
O34 0.850 0.377 0.026
O35 0.764 0.000 0.833
O36 0.250 0.815 0.826
O37 0.527 0.150 0.693
O38 0.781 0.775 0.393
O39 0.219 0.994 0.941
O40 0.750 0.565 0.508
O41 0.219 0.225 0.893
O42 0.006 0.781 0.559
O43 0.702 0.630 0.799
O44 0.435 0.250 0.992
O45 0.150 0.527 0.307
O46 0.775 0.781 0.607
O47 0.928 0.298 0.465
O48 0.928 0.630 0.368
O49 0.473 0.850 0.193
O50 0.298 0.370 0.299
O51 0.435 0.185 0.841
O52 0.994 0.219 0.059
O53 0.623 0.473 0.360
O54 0.072 0.702 0.965
P1 0.160 0.389 0.262
P2 0.160 0.770 0.572
P3 0.840 0.611 0.762
P4 0.389 0.160 0.738
P5 0.840 0.230 0.072
P6 0.389 0.230 0.095
P7 0.611 0.770 0.595
P8 0.230 0.840 0.928
P9 0.230 0.389 0.905
P10 0.611 0.840 0.238
P11 0.770 0.611 0.405
P12 0.770 0.160 0.428
Na1 0.561 0.781 0.917
Na2 0.219 0.781 0.250
Na3 0.781 0.219 0.750
Na4 0.219 0.439 0.583
Na5 0.439 0.219 0.417
Na6 0.781 0.561 0.083
B1 0.837 0.163 0.250
B2 0.327 0.163 0.917
B3 0.163 0.327 0.083
B4 0.163 0.837 0.750
B5 0.837 0.673 0.583
B6 0.673 0.837 0.417
Zn1 0.970 0.485 0.917
Zn2 0.515 0.485 0.250
Zn3 0.515 0.030 0.583
Zn4 0.485 0.515 0.750
Zn5 0.030 0.515 0.417
Zn6 0.485 0.970 0.083

2.
A plane-wave DFT calculation with PBE was carried out for a relaxed Rb2Te crystal.

E (MP2020)   -16.69 eV per cell
Energy above the most stable polymorph in this dataset   57 meV/atom

abc: 6.142 6.142 8.148
angles: 90.00 90.00 120.00
Element x y z (fractional)
Rb1 0.000 0.000 0.500
Rb2 0.000 0.000 0.000
Rb3 0.333 0.667 0.250
Rb4 0.667 0.333 0.750
Te1 0.333 0.667 0.750
Te2 0.667 0.333 0.250

3.
A plane-wave DFT calculation with PBE was carried out for a relaxed La3Cd crystal.

abc: 7.295 7.295 5.675
angles: 90.00 90.00 120.00
Element x y z (fractional)
La1 0.176 0.824 0.250
La2 0.824 0.176 0.750
La3 0.352 0.176 0.750
La4 0.176 0.352 0.250
La5 0.824 0.648 0.750
La6 0.648 0.824 0.250
Cd1 0.333 0.667 0.750
Cd2 0.667 0.333 0.250

4.
A plane-wave DFT calculation with PBE was carried out for a relaxed La3CuSnSe7 crystal.

E (MP2020)   -135.34 eV per cell

abc: 10.806 10.806 6.362
angles: 90.00 90.00 120.00
Element x y z (fractional)
Se1 0.746 0.903 0.487
Se2 0.572 0.086 0.715
Se3 0.428 0.914 0.215
Se4 0.254 0.097 0.987
Se5 0.667 0.333 0.281
Se6 0.333 0.667 0.781
Se7 0.156 0.254 0.487
Se8 0.903 0.156 0.987
Se9 0.914 0.486 0.715
Se10 0.086 0.514 0.215
Se11 0.844 0.746 0.987
Se12 0.097 0.844 0.487
Se13 0.514 0.428 0.715
Se14 0.486 0.572 0.215
Sn1 0.667 0.333 0.885
Sn2 0.333 0.667 0.385
Cu1 0.000 0.000 0.499
Cu2 0.000 0.000 0.999
La1 0.355 0.135 0.464
La2 0.645 0.865 0.964
La3 0.865 0.220 0.464
La4 0.780 0.645 0.464
La5 0.135 0.780 0.964
La6 0.220 0.355 0.964

5.
A plane-wave DFT calculation with PBE was carried out for a relaxed Mg3Ge3Sb2O12 crystal.

E (MP2020)   -515.66 eV per cell
Magnetic moment   0.00 μB per cell

abc: 10.953 10.953 10.953
angles: 109.47 109.47 109.47
Element x y z (fractional)
O1 0.092 0.866 0.397
O2 0.408 0.103 0.634
O3 0.397 0.092 0.866
O4 0.092 0.726 0.695
O5 0.695 0.103 0.968
O6 0.592 0.195 0.226
O7 0.532 0.634 0.726
O8 0.726 0.695 0.092
O9 0.195 0.468 0.603
O10 0.897 0.366 0.592
O11 0.366 0.274 0.468
O12 0.726 0.532 0.634
O13 0.603 0.195 0.468
O14 0.468 0.603 0.195
O15 0.968 0.695 0.103
O16 0.634 0.408 0.103
O17 0.592 0.897 0.366
O18 0.968 0.774 0.866
O19 0.695 0.092 0.726
O20 0.805 0.774 0.408
O21 0.032 0.305 0.897
O22 0.274 0.468 0.366
O23 0.103 0.968 0.695
O24 0.226 0.134 0.032
O25 0.397 0.805 0.532
O26 0.408 0.805 0.774
O27 0.032 0.226 0.134
O28 0.774 0.408 0.805
O29 0.305 0.897 0.032
O30 0.274 0.305 0.908
O31 0.134 0.603 0.908
O32 0.897 0.032 0.305
O33 0.226 0.592 0.195
O34 0.805 0.532 0.397
O35 0.366 0.592 0.897
O36 0.774 0.866 0.968
O37 0.634 0.726 0.532
O38 0.908 0.274 0.305
O39 0.603 0.908 0.134
O40 0.532 0.397 0.805
O41 0.908 0.134 0.603
O42 0.468 0.366 0.274
O43 0.866 0.397 0.092
O44 0.103 0.634 0.408
O45 0.866 0.968 0.774
O46 0.134 0.032 0.226
O47 0.305 0.908 0.274
O48 0.195 0.226 0.592
Ge1 0.875 0.250 0.125
Ge2 0.125 0.750 0.875
Ge3 0.750 0.875 0.125
Ge4 0.625 0.750 0.375
Ge5 0.375 0.250 0.625
Ge6 0.875 0.125 0.750
Ge7 0.250 0.625 0.375
Ge8 0.750 0.375 0.625
Ge9 0.125 0.875 0.250
Ge10 0.375 0.625 0.750
Ge11 0.625 0.375 0.250
Ge12 0.250 0.125 0.875
Sb1 0.000 0.500 0.500
Sb2 0.500 0.500 0.500
Sb3 0.000 0.000 0.500
Sb4 0.000 0.500 0.000
Sb5 0.500 0.000 0.000
Sb6 0.500 0.000 0.500
Sb7 0.000 0.000 0.000
Sb8 0.500 0.500 0.000
Mg1 0.875 0.625 0.250
Mg2 0.625 0.875 0.750
Mg3 0.375 0.125 0.250
Mg4 0.875 0.750 0.625
Mg5 0.625 0.250 0.875
Mg6 0.750 0.125 0.375
Mg7 0.250 0.875 0.625
Mg8 0.250 0.375 0.125
Mg9 0.125 0.375 0.750
Mg10 0.375 0.750 0.125
Mg11 0.125 0.250 0.375
Mg12 0.750 0.625 0.875

6.
A plane-wave DFT calculation with PBE was carried out for a relaxed Si2H2O3 crystal.

E (MP2020)   -430.11 eV per cell
Energy above the most stable polymorph in this dataset   572 meV/atom
Magnetic moment   0.00 μB per cell

abc: 8.285 10.677 12.397
angles: 86.57 107.50 110.25
Element x y z (fractional)
O1 0.183 0.489 0.132
O2 0.692 0.644 0.981
O3 0.435 0.661 0.641
O4 0.937 0.250 0.252
O5 0.712 0.433 0.204
O6 0.486 0.449 0.735
O7 0.681 0.499 0.594
O8 0.837 0.596 0.827
O9 0.010 0.053 0.153
O10 0.612 0.837 0.865
O11 0.073 0.015 0.367
O12 0.410 0.905 0.665
O13 0.790 0.722 0.496
O14 0.769 0.046 0.769
O15 0.208 0.262 0.466
O16 0.988 0.247 0.030
O17 0.600 0.093 0.337
O18 0.331 0.343 0.058
O19 0.238 0.917 0.247
O20 0.566 0.847 0.518
O21 0.353 0.590 0.839
O22 0.538 0.348 0.346
O23 0.065 0.000 0.882
O24 0.424 0.140 0.469
O25 0.113 0.792 0.794
O26 0.889 0.896 0.669
O27 0.042 0.784 0.986
O28 0.262 0.463 0.348
O29 0.541 0.585 0.259
O30 0.371 0.131 0.149
H1 0.249 0.123 0.154
H2 0.945 0.651 0.802
H3 0.820 0.254 0.252
H4 0.203 0.782 0.761
H5 0.929 0.542 0.043
H6 0.982 0.852 0.706
H7 0.332 0.312 0.465
H8 0.234 0.824 0.266
H9 0.695 0.054 0.365
H10 0.584 0.536 0.565
H11 0.566 0.692 0.678
H12 0.034 0.183 0.009
H13 0.976 0.966 0.925
H14 0.595 0.662 0.218
H15 0.330 0.961 0.629
H16 0.255 0.533 0.874
H17 0.410 0.328 0.303
H18 0.793 0.487 0.163
H19 0.697 0.817 0.834
H20 0.843 0.970 0.460
Si1 0.286 0.585 0.251
Si2 0.522 0.706 0.959
Si3 0.770 0.859 0.530
Si4 0.218 0.083 0.491
Si5 0.576 0.000 0.803
Si6 0.437 0.986 0.200
Si7 0.687 0.497 0.320
Si8 0.999 0.923 0.246
Si9 0.471 0.267 0.059
Si10 0.970 0.078 0.750
Si11 0.164 0.413 0.013
Si12 0.876 0.595 0.523
Si13 0.627 0.207 0.456
Si14 0.305 0.500 0.700
Si15 0.082 0.369 0.390
Si16 0.212 0.882 0.932
Si17 0.878 0.641 0.966
Si18 0.363 0.784 0.544
Si19 0.857 0.136 0.121
Si20 0.665 0.415 0.731

7.
A plane-wave DFT calculation with PBE was carried out for a relaxed Gd4Si2Ni2Bi crystal.

Magnetic moment   0.91 μB per cell

abc: 4.215 11.336 16.842
angles: 90.00 90.00 90.00
Element x y z (fractional)
Bi1 0.750 0.337 0.922
Bi2 0.750 0.837 0.578
Bi3 0.250 0.663 0.078
Bi4 0.250 0.163 0.422
Ni1 0.250 0.937 0.060
Ni2 0.750 0.211 0.154
Ni3 0.750 0.563 0.560
Ni4 0.250 0.789 0.846
Ni5 0.250 0.437 0.440
Ni6 0.250 0.289 0.654
Ni7 0.750 0.711 0.346
Ni8 0.750 0.063 0.940
Si1 0.750 0.521 0.408
Si2 0.750 0.183 0.686
Si3 0.750 0.021 0.092
Si4 0.250 0.479 0.592
Si5 0.250 0.317 0.186
Si6 0.750 0.683 0.814
Si7 0.250 0.979 0.908
Si8 0.250 0.817 0.314
Gd1 0.750 0.441 0.722
Gd2 0.750 0.453 0.103
Gd3 0.750 0.803 0.188
Gd4 0.250 0.047 0.603
Gd5 0.250 0.686 0.469
Gd6 0.250 0.697 0.688
Gd7 0.750 0.953 0.397
Gd8 0.250 0.197 0.812
Gd9 0.750 0.303 0.312
Gd10 0.750 0.314 0.531
Gd11 0.250 0.059 0.222
Gd12 0.750 0.814 0.969
Gd13 0.750 0.941 0.778
Gd14 0.250 0.186 0.031
Gd15 0.250 0.547 0.897
Gd16 0.250 0.559 0.278

8.
A plane-wave DFT calculation with PBE was carried out for a relaxed Na3MgC2ClO6 crystal.

E (MP2020)   -335.99 eV per cell
Energy above the most stable polymorph in this dataset   12 meV/atom

abc: 10.118 10.118 10.118
angles: 60.00 60.00 60.00
Element x y z (fractional)
O1 0.981 0.981 0.280
O2 0.981 0.280 0.759
O3 0.759 0.981 0.280
O4 0.269 0.269 0.491
O5 0.269 0.491 0.970
O6 0.491 0.269 0.269
O7 0.280 0.981 0.981
O8 0.759 0.280 0.981
O9 0.491 0.269 0.970
O10 0.491 0.970 0.269
O11 0.269 0.970 0.491
O12 0.970 0.491 0.269
O13 0.269 0.970 0.269
O14 0.981 0.280 0.981
O15 0.759 0.981 0.981
O16 0.970 0.269 0.269
O17 0.970 0.269 0.491
O18 0.269 0.269 0.970
O19 0.981 0.981 0.759
O20 0.280 0.759 0.981
O21 0.269 0.491 0.269
O22 0.280 0.981 0.759
O23 0.981 0.759 0.280
O24 0.981 0.759 0.981
Na1 0.265 0.265 0.735
Na2 0.735 0.265 0.265
Na3 0.985 0.985 0.515
Na4 0.735 0.265 0.735
Na5 0.265 0.735 0.265
Na6 0.265 0.735 0.735
Na7 0.735 0.735 0.265
Na8 0.515 0.985 0.985
Na9 0.985 0.515 0.515
Na10 0.985 0.515 0.985
Na11 0.515 0.515 0.985
Na12 0.515 0.985 0.515
Cl1 0.625 0.125 0.625
Cl2 0.125 0.625 0.625
Cl3 0.625 0.625 0.625
Cl4 0.625 0.625 0.125
C1 0.907 0.907 0.278
C2 0.343 0.343 0.972
C3 0.343 0.972 0.343
C4 0.907 0.278 0.907
C5 0.907 0.907 0.907
C6 0.278 0.907 0.907
C7 0.972 0.343 0.343
C8 0.343 0.343 0.343
Mg1 0.625 0.125 0.125
Mg2 0.125 0.125 0.625
Mg3 0.125 0.125 0.125
Mg4 0.125 0.625 0.125

| no. | total DFT energy (no corrections) (eV per atom) | E_form (meV/atom) |
| --- | --- | --- |
| 1 | -6.4326 | -2258 |
| 2 | -2.6416 | -1081 |
| 3 | -4.0492 | -116 |
| 4 | -5.3637 | -1690 |
| 5 | -6.0336 | -2131 |
| 6 | -5.8500 | -1504 |
| 7 | -9.9562 | -778 |
| 8 | -6.1443 | -2187 |